Record 1
Na3Ti2Nb2Si3P3O24 (GGA-PBE, optimized geometry); space-group type = P1 (1); final energy = -7.738 eV per atom; energy relative to the elements = -3.016 eV per atom; magnetic moment = 0.0 μB/cell; corrected total energy (MP2020 scheme) = -8.184 eV/atom
1.0
8.831 0.010 -0.001
-4.407 7.635 -0.008
-0.003 -0.025 22.486
Na Ti Nb Si P O
9 6 6 9 9 72
direct
0.000 0.631 0.251 Na
0.666 0.964 0.585 Na
0.667 0.703 0.082 Na
0.013 0.002 0.503 Na
0.014 0.013 0.002 Na
0.667 0.334 0.833 Na
0.655 0.322 0.331 Na
0.333 0.667 0.167 Na
0.322 0.657 0.665 Na
0.006 0.994 0.647 Ti
0.998 0.997 0.148 Ti
0.669 0.336 0.186 Ti
0.324 0.662 0.020 Ti
0.330 0.673 0.519 Ti
0.342 0.671 0.314 Ti
0.996 0.995 0.356 Nb
0.990 0.994 0.857 Nb
0.667 0.330 0.689 Nb
0.671 0.338 0.979 Nb
0.663 0.333 0.476 Nb
0.333 0.665 0.810 Nb
0.703 0.708 0.248 Si
0.001 0.714 0.749 Si
0.716 0.998 0.747 Si
0.368 0.040 0.583 Si
0.964 0.626 0.086 Si
0.614 0.666 0.920 Si
0.050 0.381 0.918 Si
0.615 0.948 0.418 Si
0.053 0.666 0.414 Si
0.292 0.004 0.249 P
0.000 0.288 0.248 P
0.281 0.281 0.749 P
0.961 0.336 0.583 P
0.666 0.624 0.583 P
0.667 0.046 0.085 P
0.375 0.329 0.085 P
0.333 0.950 0.918 P
0.332 0.388 0.417 P
0.205 0.031 0.305 O
0.838 0.805 0.305 O
0.977 0.175 0.305 O
0.203 0.174 0.806 O
0.975 0.806 0.808 O
0.835 0.029 0.807 O
0.804 0.975 0.687 O
0.170 0.197 0.694 O
0.029 0.835 0.691 O
0.801 0.829 0.189 O
0.023 0.195 0.194 O
0.167 0.972 0.195 O
0.870 0.362 0.638 O
0.501 0.137 0.639 O
0.646 0.509 0.638 O
0.865 0.504 0.144 O
0.643 0.139 0.140 O
0.500 0.361 0.139 O
0.462 0.303 0.029 O
0.830 0.529 0.029 O
0.690 0.158 0.029 O
0.472 0.165 0.526 O
0.692 0.535 0.528 O
0.838 0.309 0.528 O
0.532 0.696 0.980 O
0.170 0.478 0.976 O
0.307 0.837 0.973 O
0.535 0.836 0.478 O
0.306 0.469 0.473 O
0.173 0.694 0.473 O
0.133 0.635 0.354 O
0.495 0.856 0.359 O
0.361 0.497 0.360 O
0.135 0.500 0.858 O
0.361 0.868 0.861 O
0.499 0.642 0.861 O
0.035 0.844 0.409 O
0.812 0.976 0.409 O
0.172 0.201 0.409 O
0.035 0.190 0.912 O
0.172 0.973 0.911 O
0.812 0.835 0.912 O
0.966 0.166 0.588 O
0.179 0.026 0.589 O
0.828 0.808 0.588 O
0.971 0.815 0.091 O
0.834 0.029 0.090 O
0.194 0.169 0.092 O
0.694 0.172 0.743 O
0.468 0.305 0.742 O
0.825 0.523 0.743 O
0.696 0.518 0.243 O
0.833 0.304 0.244 O
0.473 0.165 0.242 O
0.634 0.489 0.924 O
0.854 0.355 0.925 O
0.497 0.133 0.924 O
0.638 0.145 0.423 O
0.497 0.367 0.423 O
0.856 0.499 0.424 O
0.368 0.501 0.079 O
0.155 0.646 0.078 O
0.507 0.860 0.080 O
0.361 0.852 0.577 O
0.501 0.641 0.579 O
0.141 0.499 0.577 O
0.299 0.832 0.254 O
0.512 0.688 0.256 O
0.159 0.473 0.254 O
0.304 0.467 0.755 O
0.172 0.692 0.755 O
0.522 0.827 0.756 O

---

Record 2
Na2TiNbSi2PO12 (GGA-PBE, optimized geometry); final energy = -7.643 eV per atom; energy relative to the elements = -3.009 eV per atom; magnetic moment = 0.0 μB/cell; corrected total energy (MP2020 scheme) = -8.077 eV/atom
1.0
-0.492 4.019 7.936
-4.093 -7.804 -1.315
18.422 -10.918 6.515
Na Ti Nb Si P O
12 6 6 12 6 72
direct
0.994 0.627 0.250 Na
0.373 0.006 0.750 Na
0.661 0.961 0.583 Na
0.039 0.339 0.083 Na
0.327 0.294 0.917 Na
0.706 0.673 0.417 Na
0.028 0.012 0.495 Na
0.988 0.972 0.995 Na
0.694 0.345 0.828 Na
0.655 0.306 0.328 Na
0.361 0.679 0.162 Na
0.321 0.639 0.662 Na
0.993 0.999 0.354 Ti
0.001 0.007 0.854 Ti
0.660 0.332 0.688 Ti
0.668 0.340 0.188 Ti
0.327 0.666 0.021 Ti
0.334 0.673 0.521 Ti
0.000 0.999 0.644 Nb
0.001 0.000 0.144 Nb
0.667 0.333 0.978 Nb
0.667 0.333 0.478 Nb
0.333 0.666 0.311 Nb
0.334 0.667 0.811 Nb
0.710 0.710 0.251 Si
0.993 0.283 0.250 Si
0.290 0.290 0.751 Si
0.717 0.007 0.750 Si
0.376 0.043 0.585 Si
0.659 0.616 0.583 Si
0.957 0.624 0.085 Si
0.384 0.341 0.083 Si
0.043 0.377 0.918 Si
0.326 0.949 0.916 Si
0.623 0.957 0.418 Si
0.051 0.674 0.416 Si
0.289 0.007 0.252 P
0.993 0.711 0.752 P
0.956 0.341 0.585 P
0.659 0.044 0.085 P
0.623 0.674 0.919 P
0.326 0.377 0.419 P
0.199 0.024 0.307 O
0.830 0.796 0.311 O
0.978 0.160 0.306 O
0.204 0.170 0.811 O
0.976 0.801 0.807 O
0.840 0.022 0.806 O
0.799 0.975 0.689 O
0.166 0.188 0.694 O
0.024 0.828 0.695 O
0.812 0.834 0.194 O
0.025 0.201 0.189 O
0.172 0.976 0.195 O
0.866 0.357 0.641 O
0.496 0.129 0.644 O
0.644 0.494 0.640 O
0.871 0.504 0.144 O
0.643 0.134 0.141 O
0.506 0.356 0.140 O
0.466 0.309 0.022 O
0.833 0.522 0.027 O
0.690 0.161 0.029 O
0.478 0.167 0.527 O
0.691 0.534 0.522 O
0.839 0.310 0.529 O
0.533 0.690 0.974 O
0.163 0.463 0.978 O
0.311 0.827 0.973 O
0.537 0.837 0.478 O
0.310 0.467 0.474 O
0.173 0.689 0.473 O
0.133 0.642 0.356 O
0.499 0.855 0.360 O
0.357 0.494 0.362 O
0.145 0.501 0.860 O
0.358 0.867 0.856 O
0.506 0.643 0.862 O
0.026 0.843 0.412 O
0.812 0.970 0.410 O
0.170 0.196 0.411 O
0.030 0.188 0.910 O
0.157 0.974 0.912 O
0.804 0.830 0.911 O
0.965 0.168 0.588 O
0.185 0.025 0.588 O
0.830 0.814 0.589 O
0.975 0.815 0.088 O
0.832 0.035 0.088 O
0.186 0.170 0.089 O
0.693 0.177 0.746 O
0.479 0.304 0.744 O
0.837 0.529 0.745 O
0.696 0.521 0.244 O
0.823 0.307 0.246 O
0.471 0.163 0.245 O
0.631 0.502 0.922 O
0.852 0.358 0.922 O
0.497 0.147 0.923 O
0.642 0.148 0.422 O
0.498 0.369 0.422 O
0.853 0.503 0.423 O
0.360 0.510 0.079 O
0.146 0.637 0.077 O
0.503 0.863 0.078 O
0.363 0.854 0.577 O
0.490 0.640 0.579 O
0.137 0.497 0.578 O
0.298 0.835 0.255 O
0.519 0.692 0.255 O
0.163 0.480 0.256 O
0.308 0.481 0.755 O
0.165 0.702 0.755 O
0.520 0.837 0.756 O

---

Record 3
Na6Y3NbSi2P4O24 (GGA-PBE, optimized geometry); space-group type = P1 (1); final energy = -7.348 eV per atom; energy relative to the elements = -3.042 eV per atom; relative energy among the computed polymorphs = 0.00 kJ per mole of atoms; magnetic moment = 0.0 μB/cell; corrected total energy (MP2020 scheme) = -7.760 eV/atom
1.0
-0.558 -4.544 8.118
6.545 -2.333 -6.238
14.224 15.083 9.384
Na Y Nb Si P O
18 9 3 6 12 72
direct
0.991 0.983 0.505 Na
0.957 0.981 0.995 Na
0.662 0.341 0.829 Na
0.655 0.333 0.328 Na
0.329 0.640 0.167 Na
0.335 0.665 0.671 Na
0.660 0.012 0.243 Na
0.004 0.341 0.745 Na
0.358 0.010 0.754 Na
0.305 0.333 0.594 Na
0.663 0.969 0.585 Na
0.291 0.956 0.079 Na
0.038 0.339 0.076 Na
0.997 0.683 0.917 Na
0.313 0.290 0.913 Na
0.961 0.287 0.412 Na
0.338 0.038 0.406 Na
0.700 0.681 0.417 Na
0.003 0.000 0.346 Y
0.993 0.996 0.850 Y
0.995 0.991 0.654 Y
0.000 0.993 0.149 Y
0.673 0.348 0.684 Y
0.664 0.343 0.187 Y
0.669 0.336 0.482 Y
0.346 0.670 0.018 Y
0.326 0.668 0.519 Y
0.666 0.333 0.976 Nb
0.332 0.674 0.313 Nb
0.342 0.665 0.821 Nb
0.308 0.999 0.252 Si
0.305 0.311 0.752 Si
0.635 0.660 0.920 Si
0.032 0.370 0.921 Si
0.339 0.964 0.920 Si
0.631 0.966 0.418 Si
0.687 0.700 0.257 P
0.009 0.310 0.250 P
0.016 0.695 0.757 P
0.684 0.992 0.747 P
0.969 0.324 0.584 P
0.362 0.036 0.584 P
0.669 0.641 0.577 P
0.956 0.629 0.079 P
0.675 0.054 0.084 P
0.368 0.323 0.079 P
0.334 0.377 0.416 P
0.036 0.663 0.413 P
0.226 0.012 0.313 O
0.770 0.773 0.316 O
0.981 0.202 0.305 O
0.215 0.196 0.809 O
0.994 0.764 0.816 O
0.810 0.020 0.795 O
0.749 0.968 0.687 O
0.186 0.231 0.693 O
0.030 0.810 0.706 O
0.783 0.825 0.207 O
0.027 0.224 0.194 O
0.196 0.976 0.194 O
0.877 0.326 0.640 O
0.465 0.133 0.638 O
0.666 0.527 0.626 O
0.861 0.529 0.132 O
0.676 0.135 0.143 O
0.463 0.325 0.133 O
0.471 0.327 0.023 O
0.853 0.532 0.022 O
0.677 0.172 0.032 O
0.449 0.134 0.527 O
0.677 0.568 0.516 O
0.873 0.325 0.528 O
0.557 0.684 0.979 O
0.132 0.449 0.981 O
0.301 0.857 0.979 O
0.548 0.863 0.478 O
0.316 0.449 0.474 O
0.133 0.679 0.469 O
0.142 0.659 0.360 O
0.503 0.845 0.362 O
0.332 0.489 0.365 O
0.146 0.506 0.866 O
0.362 0.860 0.864 O
0.506 0.644 0.865 O
0.010 0.814 0.410 O
0.818 0.992 0.413 O
0.185 0.198 0.411 O
0.007 0.189 0.911 O
0.189 0.001 0.910 O
0.825 0.800 0.913 O
0.975 0.160 0.582 O
0.190 0.023 0.585 O
0.819 0.818 0.582 O
0.979 0.805 0.078 O
0.837 0.047 0.077 O
0.197 0.159 0.075 O
0.659 0.144 0.747 O
0.490 0.334 0.748 O
0.876 0.513 0.749 O
0.665 0.528 0.249 O
0.859 0.335 0.246 O
0.503 0.143 0.250 O
0.624 0.474 0.920 O
0.851 0.369 0.922 O
0.513 0.148 0.926 O
0.636 0.144 0.413 O
0.499 0.373 0.412 O
0.867 0.499 0.411 O
0.335 0.471 0.082 O
0.130 0.644 0.081 O
0.514 0.884 0.082 O
0.351 0.865 0.585 O
0.507 0.650 0.584 O
0.149 0.473 0.586 O
0.320 0.822 0.257 O
0.510 0.685 0.256 O
0.172 0.481 0.257 O
0.311 0.493 0.761 O
0.185 0.695 0.758 O
0.510 0.835 0.759 O